Density functional theory data (PBE) for a relaxed BaSrPb2O6 crystal.

Summary:
**Crystal system**: orthorhombic
**SG**: Pmc2_1

Unit cell a=6.073 b=6.139 c=8.612 alpha=90.00 beta=90.00 gamma=90.00
Fractional positions:
Ba1 0.260 0.965 0.000
Ba2 0.740 0.465 0.000
Sr1 0.243 0.043 0.500
Sr2 0.757 0.543 0.500
Pb1 0.250 0.500 0.744
Pb2 0.750 0.000 0.256
Pb3 0.250 0.500 0.256
Pb4 0.750 0.000 0.744
O1 0.041 0.787 0.695
O2 0.959 0.287 0.305
O3 0.458 0.207 0.216
O4 0.542 0.707 0.784
O5 0.458 0.207 0.784
O6 0.542 0.707 0.216
O7 0.041 0.787 0.305
O8 0.959 0.287 0.695
O9 0.179 0.511 0.000
O10 0.821 0.011 0.000
O11 0.346 0.456 0.500
O12 0.654 0.956 0.500

---

Density functional theory data (PBE) for a relaxed BaGaCu3Se4 crystal.

Summary:
**Crystal system**: cubic
**SG**: P-43m

Unit cell a=6.230 b=6.230 c=6.230 alpha=90.00 beta=90.00 gamma=90.00
Fractional positions:
Ba1 0.500 0.500 0.500
Ga1 0.000 0.000 0.000
Cu1 0.000 0.500 0.000
Cu2 0.000 0.000 0.500
Cu3 0.500 0.000 0.000
Se1 0.220 0.220 0.220
Se2 0.780 0.780 0.220
Se3 0.220 0.780 0.780
Se4 0.780 0.220 0.780

---

Density functional theory data (PBE) for a relaxed BiPS4 crystal.

Summary:
**Crystal system**: orthorhombic
**SG**: Ibca

Unit cell a=12.641 b=12.641 c=12.641 alpha=129.40 beta=127.00 gamma=76.31
Fractional positions:
Bi1 0.141 0.891 0.250
Bi2 0.359 0.609 0.750
Bi3 0.859 0.109 0.750
Bi4 0.641 0.391 0.250
Bi5 0.398 0.148 0.250
Bi6 0.102 0.352 0.750
Bi7 0.602 0.852 0.750
Bi8 0.898 0.648 0.250
P1 0.750 0.280 0.530
P2 0.286 0.750 0.036
P3 0.214 0.250 0.464
P4 0.714 0.250 0.964
P5 0.786 0.750 0.536
P6 0.750 0.780 0.030
P7 0.250 0.720 0.470
P8 0.250 0.220 0.970
S1 0.396 0.600 0.981
S2 0.882 0.586 0.481
S3 0.896 0.914 0.796
S4 0.618 0.100 0.704
S5 0.604 0.400 0.019
S6 0.118 0.414 0.519
S7 0.104 0.086 0.204
S8 0.382 0.900 0.296
S9 0.601 0.390 0.483
S10 0.093 0.110 0.711
S11 0.899 0.382 0.789
S12 0.407 0.118 0.017
S13 0.399 0.610 0.517
S14 0.907 0.890 0.289
S15 0.101 0.618 0.211
S16 0.593 0.882 0.983
S17 0.846 0.262 0.437
S18 0.175 0.238 0.084
S19 0.654 0.090 0.416
S20 0.325 0.410 0.063
S21 0.154 0.738 0.563
S22 0.825 0.762 0.916
S23 0.346 0.910 0.584
S24 0.675 0.590 0.937
S25 0.732 0.162 0.064
S26 0.903 0.338 0.070
S27 0.768 0.832 0.430
S28 0.597 0.668 0.436
S29 0.268 0.838 0.936
S30 0.097 0.662 0.930
S31 0.232 0.168 0.570
S32 0.403 0.332 0.564

---

Density functional theory data (PBE) for a relaxed YPb2 crystal.

Summary:
**Crystal system**: orthorhombic
**SG**: Cmcm

Unit cell a=8.750 b=8.750 c=4.565 alpha=90.00 beta=90.00 gamma=149.27
Fractional positions:
Y1 0.097 0.903 0.250
Y2 0.903 0.097 0.750
Pb1 0.569 0.431 0.750
Pb2 0.431 0.569 0.250
Pb3 0.251 0.749 0.750
Pb4 0.749 0.251 0.250

---

Number 1: E_form -2.125 eV/atom. Number 2: E_form -0.702 eV/atom. Number 3: E_form -0.627 eV/atom. Number 4: E_form -0.394 eV/atom.